Density functional theory data (PBE) for a relaxed Fe3Ni20B6 crystal.

The structure in CIF format:
```
data_Fe3Ni20B6
_chemical_formula_sum 'Fe3 Ni20 B6'
_space_group_name_H-M_alt 'P 1'
_space_group_IT_number 1
_cell_length_a 7.401
_cell_length_b 7.401
_cell_length_c 7.401
_cell_angle_alpha 60.00
_cell_angle_beta 60.00
_cell_angle_gamma 60.00
loop_
_space_group_symop_operation_xyz
'x,y,z'
loop_
_atom_site_label
_atom_site_type_symbol
_atom_site_fract_x
_atom_site_fract_y
_atom_site_fract_z
Fe1 Fe 0.000 0.000 0.000
Fe2 Fe 0.250 0.250 0.250
Fe3 Fe 0.750 0.750 0.750
Ni1 Ni 0.000 0.000 0.338
Ni2 Ni 0.000 0.000 0.662
Ni3 Ni 0.000 0.338 0.000
Ni4 Ni 0.000 0.338 0.662
Ni5 Ni 0.000 0.662 0.000
Ni6 Ni 0.000 0.662 0.338
Ni7 Ni 0.148 0.617 0.617
Ni8 Ni 0.338 0.000 0.000
Ni9 Ni 0.338 0.000 0.662
Ni10 Ni 0.338 0.662 0.000
Ni11 Ni 0.383 0.383 0.383
Ni12 Ni 0.383 0.383 0.852
Ni13 Ni 0.383 0.852 0.383
Ni14 Ni 0.617 0.148 0.617
Ni15 Ni 0.617 0.617 0.148
Ni16 Ni 0.617 0.617 0.617
Ni17 Ni 0.662 0.000 0.000
Ni18 Ni 0.662 0.000 0.338
Ni19 Ni 0.662 0.338 0.000
Ni20 Ni 0.852 0.383 0.383
B1 B 0.272 0.272 0.728
B2 B 0.272 0.728 0.272
B3 B 0.272 0.728 0.728
B4 B 0.728 0.272 0.272
B5 B 0.728 0.272 0.728
B6 B 0.728 0.728 0.272
```

Its uncorrected energy is -6.446 eV per atom. Its space group is Fm-3m (225).

---

Density functional theory data (PBE) for a relaxed Ti2FeB6Os6Rh3 crystal.

The structure in CIF format:
```
data_Ti2FeB6Os6Rh3
_chemical_formula_sum 'Ti2 Fe1 B6 Os6 Rh3'
_space_group_name_H-M_alt 'P 1'
_space_group_IT_number 1
_cell_length_a 3.061
_cell_length_b 8.854
_cell_length_c 8.854
_cell_angle_alpha 120.67
_cell_angle_beta 90.00
_cell_angle_gamma 90.00
loop_
_space_group_symop_operation_xyz
'x,y,z'
loop_
_atom_site_label
_atom_site_type_symbol
_atom_site_fract_x
_atom_site_fract_y
_atom_site_fract_z
Ti1 Ti 0.000 0.207 0.793
Ti2 Ti 0.000 0.793 0.207
Fe1 Fe 0.000 0.389 0.389
B1 B 0.000 0.124 0.459
B2 B 0.000 0.459 0.124
B3 B 0.500 0.004 0.795
B4 B 0.500 0.552 0.552
B5 B 0.500 0.788 0.788
B6 B 0.500 0.795 0.004
Os1 Os 0.500 0.083 0.260
Os2 Os 0.500 0.260 0.083
Os3 Os 0.500 0.325 0.606
Os4 Os 0.500 0.507 0.973
Os5 Os 0.500 0.606 0.325
Os6 Os 0.500 0.973 0.507
Rh1 Rh 0.000 0.620 0.795
Rh2 Rh 0.000 0.795 0.620
Rh3 Rh 0.000 0.970 0.970
```

Its uncorrected energy is -8.749 eV per atom. Its space group is Amm2 (38).

---

Density functional theory data (PBE) for a relaxed Fe9BP2 crystal.

The structure in CIF format:
```
data_Fe9BP2
_chemical_formula_sum 'Fe36 B4 P8'
_space_group_name_H-M_alt 'P 1'
_space_group_IT_number 1
_cell_length_a 4.350
_cell_length_b 6.707
_cell_length_c 18.758
_cell_angle_alpha 90.14
_cell_angle_beta 96.26
_cell_angle_gamma 108.81
loop_
_space_group_symop_operation_xyz
'x,y,z'
loop_
_atom_site_label
_atom_site_type_symbol
_atom_site_fract_x
_atom_site_fract_y
_atom_site_fract_z
Fe1 Fe 0.000 0.000 0.000
Fe2 Fe 0.000 0.129 0.867
Fe3 Fe 0.023 0.895 0.140
Fe4 Fe 0.071 0.549 0.095
Fe5 Fe 0.102 0.267 0.401
Fe6 Fe 0.124 0.980 0.265
Fe7 Fe 0.143 0.757 0.545
Fe8 Fe 0.150 0.886 0.406
Fe9 Fe 0.226 0.589 0.326
Fe10 Fe 0.230 0.326 0.645
Fe11 Fe 0.232 0.542 0.890
Fe12 Fe 0.263 0.339 0.193
Fe13 Fe 0.322 0.993 0.665
Fe14 Fe 0.328 0.128 0.532
Fe15 Fe 0.385 0.913 0.811
Fe16 Fe 0.404 0.544 0.760
Fe17 Fe 0.447 0.282 0.074
Fe18 Fe 0.465 0.985 0.936
Fe19 Fe 0.479 0.751 0.207
Fe20 Fe 0.483 0.884 0.077
Fe21 Fe 0.559 0.542 0.552
Fe22 Fe 0.563 0.324 0.310
Fe23 Fe 0.573 0.598 0.004
Fe24 Fe 0.597 0.332 0.861
Fe25 Fe 0.656 0.990 0.330
Fe26 Fe 0.660 0.126 0.199
Fe27 Fe 0.717 0.914 0.476
Fe28 Fe 0.735 0.544 0.424
Fe29 Fe 0.770 0.266 0.736
Fe30 Fe 0.793 0.984 0.601
Fe31 Fe 0.813 0.757 0.881
Fe32 Fe 0.819 0.886 0.742
Fe33 Fe 0.870 0.539 0.212
Fe34 Fe 0.899 0.330 0.980
Fe35 Fe 0.899 0.592 0.664
Fe36 Fe 0.928 0.335 0.526
B1 B 0.019 0.271 0.286
B2 B 0.360 0.279 0.957
B3 B 0.601 0.602 0.119
B4 B 0.687 0.275 0.621
P1 P 0.102 0.695 0.985
P2 P 0.238 0.186 0.760
P3 P 0.279 0.602 0.452
P4 P 0.436 0.693 0.649
P5 P 0.570 0.186 0.425
P6 P 0.766 0.691 0.313
P7 P 0.904 0.188 0.093
P8 P 0.947 0.600 0.789
```

Its uncorrected energy is -8.108 eV per atom. Its space group is P1 (1).

---

Density functional theory data (PBE) for a relaxed Fe6BP crystal.

The structure in CIF format:
```
data_Fe6BP
_chemical_formula_sum 'Fe12 B2 P2'
_space_group_name_H-M_alt 'P 1'
_space_group_IT_number 1
_cell_length_a 6.512
_cell_length_b 6.512
_cell_length_c 8.605
_cell_angle_alpha 130.24
_cell_angle_beta 130.24
_cell_angle_gamma 38.73
loop_
_space_group_symop_operation_xyz
'x,y,z'
loop_
_atom_site_label
_atom_site_type_symbol
_atom_site_fract_x
_atom_site_fract_y
_atom_site_fract_z
Fe1 Fe 0.032 0.032 0.389
Fe2 Fe 0.098 0.574 0.056
Fe3 Fe 0.157 0.641 0.813
Fe4 Fe 0.359 0.843 0.187
Fe5 Fe 0.392 0.341 0.340
Fe6 Fe 0.426 0.902 0.944
Fe7 Fe 0.544 0.023 0.602
Fe8 Fe 0.659 0.608 0.660
Fe9 Fe 0.693 0.161 0.040
Fe10 Fe 0.839 0.307 0.960
Fe11 Fe 0.968 0.968 0.611
Fe12 Fe 0.977 0.456 0.398
B1 B 0.458 0.457 0.662
B2 B 0.543 0.542 0.338
P1 P 0.227 0.189 0.751
P2 P 0.811 0.773 0.249
```

Its uncorrected energy is -8.130 eV per atom. Its space group is C2 (5).

---

Density functional theory data (PBE) for a relaxed PrFe4B4 crystal.

The structure in CIF format:
```
data_PrFe4B4
_chemical_formula_sum 'Pr2 Fe8 B8'
_space_group_name_H-M_alt 'P 1'
_space_group_IT_number 1
_cell_length_a 7.094
_cell_length_b 7.094
_cell_length_c 3.807
_cell_angle_alpha 90.00
_cell_angle_beta 90.00
_cell_angle_gamma 90.00
loop_
_space_group_symop_operation_xyz
'x,y,z'
loop_
_atom_site_label
_atom_site_type_symbol
_atom_site_fract_x
_atom_site_fract_y
_atom_site_fract_z
Pr1 Pr 0.250 0.250 0.250
Pr2 Pr 0.750 0.750 0.750
Fe1 Fe 0.117 0.861 0.144
Fe2 Fe 0.139 0.617 0.644
Fe3 Fe 0.361 0.883 0.644
Fe4 Fe 0.383 0.639 0.144
Fe5 Fe 0.617 0.361 0.856
Fe6 Fe 0.639 0.117 0.356
Fe7 Fe 0.861 0.383 0.356
Fe8 Fe 0.883 0.139 0.856
B1 B 0.047 0.585 0.145
B2 B 0.085 0.953 0.645
B3 B 0.415 0.547 0.645
B4 B 0.453 0.915 0.145
B5 B 0.547 0.085 0.855
B6 B 0.585 0.453 0.355
B7 B 0.915 0.047 0.355
B8 B 0.953 0.415 0.855
```

Its uncorrected energy is -7.679 eV per atom. Its space group is P4_2/n (86).

---

Density functional theory data (PBE) for a relaxed Pr4Fe3B6 crystal.

The structure in CIF format:
```
data_Pr4Fe3B6
_chemical_formula_sum 'Pr4 Fe3 B6'
_space_group_name_H-M_alt 'P 1'
_space_group_IT_number 1
_cell_length_a 8.250
_cell_length_b 8.250
_cell_length_c 8.250
_cell_angle_alpha 38.37
_cell_angle_beta 38.37
_cell_angle_gamma 38.37
loop_
_space_group_symop_operation_xyz
'x,y,z'
loop_
_atom_site_label
_atom_site_type_symbol
_atom_site_fract_x
_atom_site_fract_y
_atom_site_fract_z
Pr1 Pr 0.089 0.089 0.089
Pr2 Pr 0.243 0.243 0.243
Pr3 Pr 0.757 0.757 0.757
Pr4 Pr 0.911 0.911 0.911
Fe1 Fe 0.383 0.383 0.383
Fe2 Fe 0.500 0.500 0.500
Fe3 Fe 0.617 0.617 0.617
B1 B 0.000 0.333 0.667
B2 B 0.000 0.667 0.333
B3 B 0.333 0.000 0.667
B4 B 0.333 0.667 0.000
B5 B 0.667 0.000 0.333
B6 B 0.667 0.333 0.000
```

Its uncorrected energy is -6.774 eV per atom. Its space group is R-3m (166).